1.
# La2CuO4

A relaxed La2CuO4 crystal (PBE, the Materials Project).

Output
DFT total energy   -7.47 eV per atom
Energy relative to the lowest polymorph listed for this composition   0.000 eV/atom
ΔE_f   -3.042 eV/atom
Corrected total energy (MP2020 scheme)   -0.2890 hartree per atom
Crystal system   tetragonal

Geometry as POSCAR:
```
La2CuO4
1.0
-2.0043 2.0043 6.3175
2.0043 -2.0043 6.3175
2.0043 2.0043 -6.3175
La Cu O
2 1 4
direct
0.1496 0.1496 0.0000
0.8504 0.8504 0.0000
0.5000 0.5000 0.0000
0.0000 0.5000 0.5000
0.2500 0.7500 0.5000
0.5000 0.0000 0.5000
0.7500 0.2500 0.5000
```



2.
# La2Cu2O5

A relaxed La2Cu2O5 crystal (PBE, the Materials Project).

Output
DFT total energy   -6.89 eV per atom
Energy relative to the lowest polymorph listed for this composition   0.027 eV/atom
ΔE_f   -2.511 eV/atom
Corrected total energy (MP2020 scheme)   -0.2671 hartree per atom
Crystal system   triclinic

Geometry as POSCAR:
```
La2Cu2O5
1.0
3.7680 0.0000 0.0000
-1.8677 6.9709 0.0000
-1.6573 -3.0695 13.4632
La Cu O
6 6 15
direct
0.0749 0.3080 0.2695
0.1413 0.2764 0.5373
0.2866 0.2497 0.8046
0.7134 0.7503 0.1954
0.8587 0.7236 0.4627
0.9251 0.6920 0.7305
0.1655 0.6309 0.9421
0.2969 0.0244 0.0793
0.4456 0.0143 0.3618
0.5544 0.9857 0.6382
0.7031 0.9756 0.9207
0.8345 0.3691 0.0579
0.0526 0.9837 0.6380
0.0925 0.6589 0.0780
0.1761 0.9131 0.9286
0.2789 0.6559 0.3252
0.3309 0.6243 0.5830
0.3769 0.0241 0.2212
0.4040 0.5923 0.8250
0.5000 0.0000 0.5000
0.5960 0.4077 0.1750
0.6231 0.9759 0.7788
0.6691 0.3757 0.4170
0.7211 0.3441 0.6748
0.8239 0.0869 0.0714
0.9075 0.3411 0.9220
0.9474 0.0163 0.3620
```



| no. | V (Å³/cell) |
| --- | --- |
| 1 | 102 |
| 2 | 354 |